# 1
Entry from Materials Project: Na3Zr2SiGe2P5O24 after structural relaxation (PBE).

Values from the calculation:
Formation energy (kJ/mol of atoms): -271
Crystal system: triclinic

Structure (CIF):
```
data_Na3Zr2SiGe2P5O24
_chemical_formula_sum 'Na9 Zr6 Si3 Ge6 P15 O72'
_cell_length_a 8.7081
_cell_length_b 8.7273
_cell_length_c 22.4321
_cell_angle_alpha 89.85
_cell_angle_beta 89.97
_cell_angle_gamma 60.17
_space_group_name_H-M_alt 'P 1'
_space_group_IT_number 1
_space_group_name_Hall 'P 1'
loop_
_atom_site_label
_atom_site_type_symbol
_atom_site_fract_x
_atom_site_fract_y
_atom_site_fract_z
Na1 Na 0.0000 0.0000 0.0000
Na2 Na 0.0000 0.3589 0.2464
Na3 Na 0.0363 0.6530 0.0848
Na4 Na 0.2988 0.6567 0.5801
Na5 Na 0.3359 0.3084 0.6660
Na6 Na 0.3487 0.3136 0.1657
Na7 Na 0.6597 0.6648 0.3324
Na8 Na 0.6676 0.6550 0.8321
Na9 Na 0.9960 0.9968 0.4944
Zr1 Zr 0.0009 0.9886 0.8505
Zr2 Zr 0.3355 0.3096 0.5170
Zr3 Zr 0.3351 0.3208 0.8137
Zr4 Zr 0.3360 0.3154 0.0219
Zr5 Zr 0.3363 0.3267 0.3117
Zr6 Zr 0.9983 0.9952 0.6422
Si1 Si 0.3960 0.9315 0.5817
Si2 Si 0.9416 0.3651 0.0852
Si3 Si 0.9904 0.7153 0.2454
Ge1 Ge 0.0011 0.9827 0.3490
Ge2 Ge 0.0025 0.9920 0.1454
Ge3 Ge 0.6653 0.6575 0.4783
Ge4 Ge 0.6672 0.6591 0.6841
Ge5 Ge 0.6688 0.6593 0.1855
Ge6 Ge 0.6703 0.6475 0.9819
P1 P 0.0268 0.3211 0.4131
P2 P 0.0291 0.6161 0.9188
P3 P 0.2888 0.9765 0.2470
P4 P 0.3061 0.6929 0.7452
P5 P 0.3341 0.6278 0.4163
P6 P 0.3477 0.0132 0.9182
P7 P 0.3856 0.6643 0.0845
P8 P 0.6286 0.3327 0.9179
P9 P 0.6404 0.0164 0.4141
P10 P 0.6690 0.3802 0.5802
P11 P 0.6731 0.9328 0.0842
P12 P 0.7068 0.9771 0.7462
P13 P 0.7222 0.2709 0.2462
P14 P 0.9435 0.6532 0.5811
P15 P 0.9892 0.2954 0.7459
O1 O 0.0120 0.7991 0.9110
O2 O 0.0128 0.1519 0.4048
O3 O 0.0229 0.1771 0.6916
O4 O 0.0300 0.7952 0.1846
O5 O 0.1102 0.3546 0.3572
O6 O 0.1181 0.5003 0.8637
O7 O 0.1340 0.4936 0.5761
O8 O 0.1367 0.3519 0.0798
O9 O 0.1434 0.5343 0.9748
O10 O 0.1490 0.2866 0.4675
O11 O 0.1547 0.3138 0.7529
O12 O 0.1615 0.5128 0.2519
O13 O 0.1662 0.0239 0.1916
O14 O 0.1672 0.8114 0.4066
O15 O 0.1817 0.9957 0.9110
O16 O 0.1929 0.7746 0.6890
O17 O 0.1945 0.8275 0.0891
O18 O 0.1991 0.9500 0.5844
O19 O 0.2058 0.9493 0.3043
O20 O 0.2160 0.8093 0.8001
O21 O 0.3016 0.5470 0.4727
O22 O 0.3065 0.1442 0.2538
O23 O 0.3130 0.1338 0.9721
O24 O 0.3229 0.5099 0.7528
O25 O 0.3600 0.5009 0.0792
O26 O 0.3641 0.5058 0.3623
O27 O 0.3695 0.1289 0.5783
O28 O 0.3748 0.0996 0.8621
O29 O 0.4645 0.6950 0.0268
O30 O 0.4733 0.8098 0.2397
O31 O 0.4769 0.8095 0.5223
O32 O 0.4913 0.6743 0.7402
O33 O 0.4991 0.3656 0.5754
O34 O 0.5005 0.6304 0.1404
O35 O 0.5056 0.6397 0.4213
O36 O 0.5088 0.8461 0.6421
O37 O 0.5121 0.1183 0.0792
O38 O 0.5153 0.8320 0.9266
O39 O 0.5163 0.3581 0.8617
O40 O 0.5198 0.1035 0.3599
O41 O 0.5223 0.1414 0.7529
O42 O 0.5383 0.2895 0.2528
O43 O 0.5425 0.3003 0.9722
O44 O 0.5546 0.1339 0.4693
O45 O 0.6365 0.4913 0.6373
O46 O 0.6365 0.8544 0.1404
O47 O 0.6401 0.5028 0.9240
O48 O 0.6589 0.8315 0.4225
O49 O 0.6956 0.8067 0.7411
O50 O 0.7003 0.4595 0.2408
O51 O 0.7000 0.4586 0.5230
O52 O 0.7082 0.8164 0.0278
O53 O 0.7916 0.0095 0.6916
O54 O 0.8041 0.1568 0.1905
O55 O 0.8129 0.1685 0.9110
O56 O 0.8163 0.6852 0.2409
O57 O 0.8194 0.9529 0.8021
O58 O 0.8215 0.4772 0.7385
O59 O 0.8232 0.0046 0.4066
O60 O 0.8258 0.4549 0.0249
O61 O 0.8289 0.1939 0.5844
O62 O 0.8354 0.6800 0.5239
O63 O 0.8413 0.1935 0.3027
O64 O 0.8438 0.9482 0.0887
O65 O 0.8448 0.4893 0.4227
O66 O 0.8451 0.6325 0.9252
O67 O 0.8627 0.4926 0.1442
O68 O 0.8673 0.6202 0.6387
O69 O 0.9619 0.2089 0.8018
O70 O 0.9624 0.8313 0.3053
O71 O 0.9672 0.8170 0.5853
O72 O 0.9684 0.1657 0.0914
```


# 2
Entry from Materials Project: Na3ZrSi2GePO12 after structural relaxation (PBE).

Values from the calculation:
Formation energy (kJ/mol of atoms): -273
Crystal system: triclinic

Structure (CIF):
```
data_Na3ZrSi2GePO12
_chemical_formula_sum 'Na12 Zr4 Si8 Ge4 P4 O48'
_cell_length_a 8.9659
_cell_length_b 9.0093
_cell_length_c 12.6559
_cell_angle_alpha 90.44
_cell_angle_beta 90.32
_cell_angle_gamma 90.15
_space_group_name_H-M_alt 'P 1'
_space_group_IT_number 1
_space_group_name_Hall 'P 1'
loop_
_atom_site_label
_atom_site_type_symbol
_atom_site_fract_x
_atom_site_fract_y
_atom_site_fract_z
Na1 Na 0.0000 0.0000 0.0000
Na2 Na 0.0316 0.3333 0.3134
Na3 Na 0.1628 0.3310 0.5827
Na4 Na 0.2058 0.3318 0.0704
Na5 Na 0.3147 0.3302 0.8171
Na6 Na 0.3723 0.9850 0.5102
Na7 Na 0.5031 0.4830 0.5123
Na8 Na 0.5657 0.8304 0.8187
Na9 Na 0.6640 0.8322 0.0695
Na10 Na 0.7075 0.8285 0.5796
Na11 Na 0.8261 0.8259 0.3189
Na12 Na 0.8654 0.4811 0.0061
Zr1 Zr 0.1811 0.6170 0.4274
Zr2 Zr 0.1856 0.0364 0.2123
Zr3 Zr 0.1931 0.6226 0.9261
Zr4 Zr 0.6914 0.1166 0.4239
Si1 Si 0.0294 0.6706 0.1720
Si2 Si 0.0476 0.9864 0.4734
Si3 Si 0.3366 0.9881 0.9567
Si4 Si 0.3398 0.6802 0.6771
Si5 Si 0.5381 0.1814 0.6799
Si6 Si 0.5506 0.4713 0.9637
Si7 Si 0.8220 0.4852 0.4683
Si8 Si 0.8227 0.1831 0.1651
Ge1 Ge 0.1929 0.0315 0.7139
Ge2 Ge 0.6789 0.1243 0.9207
Ge3 Ge 0.6807 0.5312 0.7164
Ge4 Ge 0.6881 0.5364 0.2129
P1 P 0.4025 0.3298 0.3094
P2 P 0.4822 0.8126 0.3128
P3 P 0.9000 0.8323 0.8125
P4 P 0.9626 0.3200 0.8110
O1 O 0.0039 0.4847 0.4756
O2 O 0.0043 0.9323 0.7462
O3 O 0.0070 0.1720 0.1606
O4 O 0.0636 0.4118 0.8883
O5 O 0.0657 0.2335 0.7354
O6 O 0.0701 0.8490 0.1697
O7 O 0.0913 0.5954 0.2792
O8 O 0.0930 0.5771 0.0718
O9 O 0.1022 0.8148 0.4652
O10 O 0.1090 0.0700 0.3670
O11 O 0.1322 0.0660 0.5741
O12 O 0.2515 0.0600 0.8529
O13 O 0.2558 0.0698 0.0557
O14 O 0.2685 0.5953 0.7765
O15 O 0.2825 0.5878 0.5735
O16 O 0.2970 0.2535 0.2294
O17 O 0.3004 0.8105 0.9579
O18 O 0.3051 0.4114 0.3927
O19 O 0.3051 0.8609 0.6779
O20 O 0.3524 0.1695 0.6772
O21 O 0.3688 0.4817 0.9678
O22 O 0.3817 0.9230 0.2534
O23 O 0.3890 0.7056 0.3786
O24 O 0.4903 0.2136 0.3728
O25 O 0.5060 0.4373 0.2500
O26 O 0.5199 0.9945 0.9593
O27 O 0.5251 0.6707 0.6775
O28 O 0.5655 0.3637 0.6794
O29 O 0.5804 0.7315 0.2308
O30 O 0.5819 0.8983 0.3940
O31 O 0.5855 0.2947 0.9549
O32 O 0.5929 0.0913 0.5742
O33 O 0.6146 0.1017 0.7818
O34 O 0.6265 0.5554 0.8597
O35 O 0.6280 0.5540 0.0662
O36 O 0.7418 0.5632 0.5712
O37 O 0.7558 0.5630 0.3593
O38 O 0.7616 0.0958 0.0578
O39 O 0.7664 0.0947 0.2696
O40 O 0.7774 0.3103 0.4617
O41 O 0.7965 0.3643 0.1781
O42 O 0.7987 0.7399 0.7377
O43 O 0.7987 0.9239 0.8898
O44 O 0.8448 0.6679 0.1702
O45 O 0.8625 0.4254 0.7446
O46 O 0.8664 0.9821 0.4760
O47 O 0.8703 0.2183 0.8851
O48 O 0.9918 0.7331 0.8876
```


# 3
Entry from Materials Project: Na2ZrSiGeP2O12 after structural relaxation (PBE).

Values from the calculation:
Formation energy (kJ/mol of atoms): -272
Crystal system: triclinic

Structure (CIF):
```
data_Na2ZrSiGeP2O12
_chemical_formula_sum 'Na12 Zr6 Si6 Ge6 P12 O72'
_cell_length_a 8.7855
_cell_length_b 8.8011
_cell_length_c 22.3749
_cell_angle_alpha 90.01
_cell_angle_beta 90.31
_cell_angle_gamma 119.84
_space_group_name_H-M_alt 'P 1'
_space_group_IT_number 1
_space_group_name_Hall 'P 1'
loop_
_atom_site_label
_atom_site_type_symbol
_atom_site_fract_x
_atom_site_fract_y
_atom_site_fract_z
Na1 Na 0.0000 0.0000 0.0000
Na2 Na 0.0006 0.0034 0.4850
Na3 Na 0.2999 0.3441 0.0802
Na4 Na 0.3321 0.6638 0.6591
Na5 Na 0.3341 0.6739 0.1573
Na6 Na 0.3349 0.3231 0.4084
Na7 Na 0.3719 0.0100 0.2439
Na8 Na 0.6582 0.3151 0.8334
Na9 Na 0.6598 0.7041 0.5784
Na10 Na 0.6957 0.3584 0.3231
Na11 Na 0.6977 0.6732 0.9163
Na12 Na 0.9933 0.6418 0.7507
Zr1 Zr 0.0027 0.0086 0.8541
Zr2 Zr 0.0057 0.0167 0.6343
Zr3 Zr 0.3271 0.6791 0.5072
Zr4 Zr 0.3298 0.6677 0.3025
Zr5 Zr 0.3387 0.6755 0.8115
Zr6 Zr 0.6569 0.3394 0.6811
Si1 Si 0.0393 0.6604 0.9175
Si2 Si 0.2848 0.2887 0.2356
Si3 Si 0.3335 0.9821 0.4014
Si4 Si 0.3749 0.3384 0.5670
Si5 Si 0.6695 0.6382 0.0773
Si6 Si 0.7037 0.7199 0.7422
Ge1 Ge 0.0028 0.0073 0.3393
Ge2 Ge 0.3390 0.6848 0.0181
Ge3 Ge 0.6590 0.3342 0.4682
Ge4 Ge 0.6604 0.3486 0.1776
Ge5 Ge 0.6773 0.3520 0.9800
Ge6 Ge 0.9882 0.0056 0.1387
P1 P 0.0030 0.3011 0.7451
P2 P 0.0246 0.3695 0.4056
P3 P 0.2923 0.0081 0.7455
P4 P 0.3411 0.3871 0.9230
P5 P 0.3833 0.0557 0.0782
P6 P 0.6168 0.9745 0.9202
P7 P 0.6447 0.6826 0.4082
P8 P 0.6664 0.0594 0.5694
P9 P 0.7244 0.0213 0.2395
P10 P 0.9470 0.6206 0.5725
P11 P 0.9498 0.3438 0.0801
P12 P 0.9840 0.7206 0.2379
O1 O 0.9999 0.2025 0.8018
O2 O 0.0060 0.8296 0.9146
O3 O 0.0103 0.1885 0.3962
O4 O 0.0164 0.2108 0.6877
O5 O 0.0228 0.8417 0.1833
O6 O 0.1121 0.4872 0.3506
O7 O 0.1162 0.6421 0.8531
O8 O 0.1314 0.6426 0.5676
O9 O 0.1389 0.5066 0.0762
O10 O 0.1515 0.7033 0.2431
O11 O 0.1529 0.4513 0.4592
O12 O 0.1587 0.0065 0.3962
O13 O 0.1641 0.4875 0.7462
O14 O 0.1697 0.1986 0.1747
O15 O 0.1736 0.6907 0.9728
O16 O 0.1772 0.2074 0.9158
O17 O 0.1840 0.1641 0.5700
O18 O 0.1879 0.9986 0.6885
O19 O 0.1949 0.1648 0.2947
O20 O 0.1977 0.0385 0.0804
O21 O 0.2027 0.0230 0.8023
O22 O 0.2940 0.8340 0.7469
O23 O 0.3038 0.8560 0.4584
O24 O 0.3094 0.4837 0.2413
O25 O 0.3211 0.4734 0.9804
O26 O 0.3588 0.8923 0.3418
O27 O 0.3643 0.5183 0.5675
O28 O 0.3649 0.8716 0.0708
O29 O 0.3744 0.5084 0.8682
O30 O 0.4726 0.3308 0.5055
O31 O 0.4768 0.1885 0.0269
O32 O 0.4781 0.1646 0.7445
O33 O 0.4810 0.3021 0.2329
O34 O 0.4873 0.6547 0.0728
O35 O 0.4893 0.1277 0.1379
O36 O 0.4908 0.3604 0.6269
O37 O 0.5013 0.8742 0.5684
O38 O 0.5049 0.6366 0.3576
O39 O 0.5070 0.1803 0.4093
O40 O 0.5084 0.3689 0.9245
O41 O 0.5104 0.6975 0.7458
O42 O 0.5111 0.8923 0.8620
O43 O 0.5368 0.8427 0.9727
O44 O 0.5366 0.8586 0.2448
O45 O 0.5660 0.7080 0.4665
O46 O 0.6157 0.4941 0.1316
O47 O 0.6229 0.1504 0.9282
O48 O 0.6603 0.1488 0.6270
O49 O 0.6693 0.5197 0.4121
O50 O 0.6778 0.1621 0.5122
O51 O 0.6961 0.5300 0.7433
O52 O 0.7030 0.5549 0.0162
O53 O 0.7051 0.1881 0.2355
O54 O 0.7972 0.8207 0.6802
O55 O 0.8007 0.9875 0.1825
O56 O 0.8019 0.9958 0.9135
O57 O 0.8177 0.8177 0.8026
O58 O 0.8186 0.5367 0.2317
O59 O 0.8187 0.8508 0.3955
O60 O 0.8262 0.0296 0.5707
O61 O 0.8278 0.5188 0.5190
O62 O 0.8357 0.0417 0.2958
O63 O 0.8378 0.3189 0.7436
O64 O 0.8390 0.3141 0.0230
O65 O 0.8417 0.4849 0.9222
O66 O 0.8448 0.8333 0.0851
O67 O 0.8464 0.3578 0.4154
O68 O 0.8602 0.3706 0.1354
O69 O 0.8756 0.5330 0.6336
O70 O 0.9563 0.8013 0.2957
O71 O 0.9595 0.8028 0.5723
O72 O 0.9733 0.1778 0.0830
```


# 4
Entry from Materials Project: Na3ZrSi2GePO12 after structural relaxation (PBE).

Values from the calculation:
Formation energy (kJ/mol of atoms): -273
Crystal system: triclinic

Structure (CIF):
```
data_Na3ZrSi2GePO12
_chemical_formula_sum 'Na18 Zr6 Si12 Ge6 P6 O72'
_cell_length_a 8.9070
_cell_length_b 8.9324
_cell_length_c 22.2172
_cell_angle_alpha 90.11
_cell_angle_beta 90.02
_cell_angle_gamma 119.86
_space_group_name_H-M_alt 'P 1'
_space_group_IT_number 1
_space_group_name_Hall 'P 1'
loop_
_atom_site_label
_atom_site_type_symbol
_atom_site_fract_x
_atom_site_fract_y
_atom_site_fract_z
Na1 Na 0.0000 0.0000 0.0000
Na2 Na 0.0060 0.0082 0.4849
Na3 Na 0.0183 0.6877 0.0735
Na4 Na 0.0338 0.3277 0.5639
Na5 Na 0.3017 0.9729 0.5682
Na6 Na 0.3095 0.3312 0.0784
Na7 Na 0.3351 0.6707 0.1614
Na8 Na 0.3472 0.6631 0.6507
Na9 Na 0.3609 0.3669 0.7363
Na10 Na 0.3720 0.9979 0.2427
Na11 Na 0.6240 0.6240 0.2462
Na12 Na 0.6383 0.9956 0.7389
Na13 Na 0.6696 0.3303 0.3273
Na14 Na 0.6755 0.3450 0.8254
Na15 Na 0.6996 0.6610 0.9082
Na16 Na 0.7031 0.0347 0.4040
Na17 Na 0.9619 0.6681 0.4067
Na18 Na 0.9634 0.3010 0.9097
Zr1 Zr 0.0061 0.9960 0.8497
Zr2 Zr 0.3224 0.6609 0.8042
Zr3 Zr 0.6565 0.3298 0.9788
Zr4 Zr 0.6662 0.3386 0.6728
Zr5 Zr 0.6690 0.3293 0.1827
Zr6 Zr 0.9885 0.9939 0.6316
Si1 Si 0.0060 0.7188 0.2482
Si2 Si 0.0448 0.6679 0.9183
Si3 Si 0.0477 0.3794 0.4062
Si4 Si 0.3294 0.3797 0.9145
Si5 Si 0.3309 0.9566 0.4067
Si6 Si 0.3585 0.0245 0.0838
Si7 Si 0.3830 0.3468 0.5668
Si8 Si 0.6527 0.0327 0.5650
Si9 Si 0.6631 0.6405 0.0803
Si10 Si 0.7085 0.7013 0.7453
Si11 Si 0.7149 0.9921 0.2493
Si12 Si 0.9940 0.2907 0.7408
Ge1 Ge 0.0090 0.0116 0.3460
Ge2 Ge 0.3291 0.6606 0.5052
Ge3 Ge 0.3288 0.6739 0.3068
Ge4 Ge 0.3354 0.6734 0.0162
Ge5 Ge 0.6613 0.3224 0.4663
Ge6 Ge 0.9924 0.9861 0.1452
P1 P 0.2742 0.2885 0.2443
P2 P 0.2904 0.9974 0.7354
P3 P 0.6134 0.6575 0.4063
P4 P 0.6155 0.9527 0.9121
P5 P 0.9589 0.6187 0.5624
P6 P 0.9659 0.3240 0.0771
O1 O 0.0147 0.8334 0.9163
O2 O 0.0156 0.1971 0.6804
O3 O 0.0219 0.1826 0.4012
O4 O 0.0430 0.8365 0.1871
O5 O 0.1391 0.6305 0.5644
O6 O 0.1427 0.6548 0.8586
O7 O 0.1439 0.5182 0.3518
O8 O 0.1478 0.4890 0.0776
O9 O 0.1491 0.6761 0.9800
O10 O 0.1540 0.1916 0.9135
O11 O 0.1546 0.4605 0.4689
O12 O 0.1554 0.9752 0.4004
O13 O 0.1674 0.4802 0.7406
O14 O 0.1685 0.0158 0.0879
O15 O 0.1730 0.2042 0.1856
O16 O 0.1842 0.7047 0.2517
O17 O 0.1880 0.0062 0.7902
O18 O 0.1897 0.1707 0.5688
O19 O 0.1925 0.1691 0.2991
O20 O 0.2002 0.9869 0.6754
O21 O 0.2834 0.8222 0.4636
O22 O 0.2958 0.4710 0.2497
O23 O 0.3117 0.4815 0.9733
O24 O 0.3218 0.8438 0.7394
O25 O 0.3332 0.8316 0.0738
O26 O 0.3532 0.4831 0.8510
O27 O 0.3566 0.5156 0.5614
O28 O 0.3817 0.8779 0.3476
O29 O 0.4559 0.1614 0.0291
O30 O 0.4597 0.3097 0.2421
O31 O 0.4669 0.1663 0.7383
O32 O 0.4710 0.1086 0.1446
O33 O 0.4729 0.8474 0.5579
O34 O 0.4758 0.3666 0.6326
O35 O 0.4863 0.6516 0.0713
O36 O 0.4907 0.3105 0.5147
O37 O 0.5039 0.3635 0.9172
O38 O 0.5079 0.1471 0.4131
O39 O 0.5111 0.6331 0.3466
O40 O 0.5164 0.8370 0.9660
O41 O 0.5181 0.8130 0.2506
O42 O 0.5194 0.6898 0.4590
O43 O 0.5215 0.6946 0.7416
O44 O 0.5271 0.8773 0.8512
O45 O 0.6217 0.1169 0.6264
O46 O 0.6237 0.5088 0.1372
O47 O 0.6387 0.4971 0.4114
O48 O 0.6420 0.1362 0.9168
O49 O 0.6757 0.5062 0.7408
O50 O 0.6832 0.1572 0.2440
O51 O 0.7054 0.1682 0.5081
O52 O 0.7057 0.5532 0.0220
O53 O 0.7973 0.8223 0.4070
O54 O 0.7977 0.9691 0.9132
O55 O 0.8035 0.7859 0.8094
O56 O 0.8123 0.9609 0.1924
O57 O 0.8137 0.2935 0.7377
O58 O 0.8201 0.8207 0.6887
O59 O 0.8242 0.0119 0.5706
O60 O 0.8245 0.0192 0.3113
O61 O 0.8305 0.5300 0.2426
O62 O 0.8422 0.8245 0.0884
O63 O 0.8481 0.3567 0.4089
O64 O 0.8543 0.4915 0.9162
O65 O 0.8556 0.5369 0.5042
O66 O 0.8640 0.5050 0.6175
O67 O 0.8646 0.3541 0.1280
O68 O 0.8690 0.3021 0.0173
O69 O 0.9707 0.8091 0.3070
O70 O 0.9826 0.1831 0.8021
O71 O 0.9842 0.1634 0.0872
O72 O 0.9882 0.8033 0.5680
```


Which formula does entry 4 have? Na3ZrSi2GePO12


Among the records above, which one has the highest formation energy? Na3Zr2SiGe2P5O24


Which of these has the highest formation energy? Na3Zr2SiGe2P5O24